Record 1
Density functional theory data (PBE) for PrAs2Au after structural relaxation.

Properties
- Total DFT energy (no corrections): -5.108 eV per atom
- SG: Pbcm, No. 57

Cell: 5.8478 5.9019 20.8389 Å, 90.00 90.00 90.00°
With the nearest neighbours (Å) after each atom.
Atoms (fractional coordinates):
As 0.7500 0.5149 0.3409  4 Au 2.80-2.81, 4 Pr 3.06
As 0.2500 0.4851 0.6591  4 Au 2.80-2.81, 4 Pr 3.06
As 0.0286 0.2228 0.5008  2 As 2.59-2.65
As 0.7500 0.9855 0.6604  4 Au 2.79-2.81, 4 Pr 3.04-3.09
As 0.7500 0.0145 0.1604  4 Au 2.79-2.81, 4 Pr 3.04-3.09
As 0.4714 0.7772 0.0008  2 As 2.59-2.65
As 0.4714 0.2228 0.5008  2 As 2.59-2.65
As 0.0286 0.7772 0.0008  2 As 2.59-2.65
As 0.2500 0.9855 0.8396  4 Au 2.79-2.81, 4 Pr 3.04-3.09
As 0.2500 0.5149 0.1591  4 Au 2.80-2.81, 4 Pr 3.06
As 0.5286 0.7772 0.4992  2 As 2.59-2.65
As 0.2500 0.0145 0.3396  4 Au 2.79-2.81, 4 Pr 3.04-3.09
As 0.9714 0.7772 0.4992  2 As 2.59-2.65
As 0.7500 0.4851 0.8409  4 Au 2.80-2.81, 4 Pr 3.06
As 0.5286 0.2228 0.9992  2 As 2.59-2.65
As 0.9714 0.2228 0.9992  2 As 2.59-2.65
Au 0.0000 0.2687 0.2500  4 As 2.80-2.81, 4 Au 2.92-2.97
Au 0.0000 0.2343 0.7500  4 As 2.79-2.81, 4 Au 2.92-2.97
Au 0.5000 0.2687 0.2500  4 As 2.80-2.81, 4 Au 2.92-2.97
Au 0.0000 0.7313 0.7500  4 As 2.80-2.81, 4 Au 2.92-2.97
Au 0.5000 0.2343 0.7500  4 As 2.79-2.81, 4 Au 2.92-2.97
Au 0.5000 0.7657 0.2500  4 As 2.79-2.81, 4 Au 2.92-2.97
Au 0.0000 0.7657 0.2500  4 As 2.79-2.81, 4 Au 2.92-2.97
Au 0.5000 0.7313 0.7500  4 As 2.80-2.81, 4 Au 2.92-2.97
Pr 0.2500 0.5143 0.3836  8 As 3.06-3.30
Pr 0.2500 0.9845 0.6204  8 As 3.04-3.25
Pr 0.2500 0.4857 0.8836  8 As 3.06-3.30
Pr 0.7500 0.9845 0.8796  8 As 3.04-3.25
Pr 0.7500 0.4857 0.6164  8 As 3.06-3.30
Pr 0.7500 0.5143 0.1164  8 As 3.06-3.30
Pr 0.2500 0.0155 0.1204  8 As 3.04-3.25
Pr 0.7500 0.0155 0.3796  8 As 3.04-3.25

***

Record 2
Density functional theory data (PBE) for K2SbF5 after structural relaxation.

Properties
- E (MP2020): -4.905 eV per atom
- SG: P2_1, No. 4

Cell: 6.6059 17.5282 29.0915 Å, 78.83 90.00 90.00°
With the nearest neighbours (Å) after each atom.
Atoms (fractional coordinates):
F 0.0166 0.9247 0.0108  1 Sb 2.33, 1 K 2.60
F 0.0214 0.6444 0.4025  1 Sb 2.12
F 0.7810 0.5947 0.9849  1 Sb 2.00
F 0.3968 0.9628 0.1055  1 Sb 2.19
F 0.4959 0.5520 0.6747  1 Sb 2.11
F 0.5628 0.1694 0.6600  1 Sb 2.16
F 0.5148 0.2359 0.3760  1 Sb 2.09
F 0.9885 0.3394 0.1077  1 Sb 2.11
F 0.4596 0.2894 0.4820  1 Sb 2.13
F 0.5298 0.8777 0.4645  1 Sb 2.10
F 0.0111 0.3998 0.7077  1 Sb 2.12
F 0.5286 0.7918 0.7477  1 Sb 2.13
F 0.9369 0.2648 0.3896  1 Sb 2.16
F 0.0286 0.2082 0.2523  1 Sb 2.13
F 0.7567 0.5110 0.2559  1 Sb 1.98
F 0.0298 0.1223 0.5355  1 Sb 2.10
F 0.5241 0.5311 0.0507  1 Sb 2.09
F 0.5484 0.1746 0.1623  1 Sb 2.13
F 0.5319 0.2518 0.8663  1 Sb 2.11
F 0.2266 0.7590 0.9178  1 Sb 1.99
F 0.7857 0.3281 0.8012  1 Sb 2.00
F 0.0161 0.5829 0.1671  1 Sb 2.10
F 0.0241 0.4689 0.9493  1 Sb 2.09
F 0.5153 0.6915 0.0108  1 Sb 2.11
F 0.8968 0.0372 0.8945  1 Sb 2.19
F 0.4369 0.7352 0.6104  1 Sb 2.16
F 0.4899 0.8507 0.3517  1 Sb 2.11
F 0.3053 0.8479 0.6519  1 Sb 1.98
F 0.8084 0.7860 0.4386  1 Sb 1.99
F 0.6134 0.8729 0.9987  1 Sb 2.10
F 0.9758 0.7991 0.2341  1 Sb 2.09
F 0.9575 0.3439 0.6025  1 Sb 2.12
F 0.9916 0.5150 0.5637  1 Sb 2.12
F 0.7215 0.8797 0.1709  1 Sb 1.99
F 0.5538 0.3499 0.1161  1 Sb 2.13
F 0.0143 0.0367 0.0847  1 Sb 2.05
F 0.4916 0.4850 0.4363  1 Sb 2.12
F 0.3777 0.1126 0.0751  1 Sb 2.03
F 0.0484 0.8254 0.8377  1 Sb 2.13
F 0.5161 0.4171 0.8329  1 Sb 2.10
F 0.2223 0.3098 0.2904  1 Sb 1.99
F 0.9959 0.4480 0.3253  1 Sb 2.11
F 0.4758 0.2009 0.7659  1 Sb 2.09
F 0.7579 0.4202 0.5281  1 Sb 1.98
F 0.0571 0.0165 0.7832  1 Sb 2.18
F 0.2567 0.4890 0.7441  1 Sb 1.98
F 0.0543 0.5689 0.6718  1 Sb 2.11
F 0.5449 0.0731 0.4115  1 Sb 2.09
F 0.5543 0.4311 0.3282  1 Sb 2.11
F 0.2857 0.6719 0.1988  1 Sb 2.00
F 0.8053 0.1521 0.3481  1 Sb 1.98
F 0.5299 0.7142 0.4987  1 Sb 2.10
F 0.4885 0.6606 0.8923  1 Sb 2.11
F 0.5397 0.7984 0.2449  1 Sb 2.15
F 0.9760 0.1725 0.1463  1 Sb 2.11
F 0.4554 0.1061 0.5189  1 Sb 2.15
F 0.5324 0.9879 0.6909  1 Sb 2.13
F 0.0538 0.6501 0.8839  1 Sb 2.13
F 0.9718 0.7003 0.0198  1 Sb 2.15
F 0.0148 0.7641 0.6240  1 Sb 2.09
F 0.5529 0.5270 0.5605  1 Sb 2.11
F 0.4499 0.4735 0.9355  1 Sb 2.12
F 0.9378 0.4395 0.8417  1 Sb 2.15
F 0.4908 0.3736 0.2250  1 Sb 2.12
F 0.5166 0.0753 0.9892  1 Sb 2.33, 1 K 2.60
F 0.4687 0.2084 0.2638  1 Sb 2.10
F 0.4787 0.7430 0.1249  1 Sb 2.15
F 0.0561 0.3842 0.2123  1 Sb 2.15
F 0.7266 0.2410 0.0822  1 Sb 1.99
F 0.4803 0.9181 0.5747  1 Sb 2.14
F 0.5214 0.3556 0.5975  1 Sb 2.12
F 0.9908 0.6264 0.7750  1 Sb 2.12
F 0.9899 0.1493 0.6483  1 Sb 2.11
F 0.2132 0.9372 0.3834  1 Sb 1.99
F 0.0153 0.3085 0.9892  1 Sb 2.11
F 0.5111 0.6002 0.2923  1 Sb 2.12
F 0.0529 0.4730 0.4395  1 Sb 2.11
F 0.5561 0.6158 0.7877  1 Sb 2.15
F 0.2810 0.4053 0.0151  1 Sb 2.00
F 0.4718 0.2997 0.9802  1 Sb 2.15
F 0.9725 0.9841 0.6794  1 Sb 2.08
F 0.4861 0.0338 0.7956  1 Sb 2.10
F 0.2215 0.1203 0.8291  1 Sb 1.99
F 0.9861 0.9662 0.2044  1 Sb 2.10
F 0.4760 0.8275 0.8537  1 Sb 2.11
F 0.1134 0.1271 0.0013  1 Sb 2.10
F 0.9803 0.0819 0.4253  1 Sb 2.14
F 0.5571 0.9835 0.2168  1 Sb 2.18
F 0.9447 0.6196 0.2910  1 Sb 2.12
F 0.0397 0.2016 0.7551  1 Sb 2.15
F 0.0299 0.2858 0.5013  1 Sb 2.10
F 0.4378 0.5605 0.1583  1 Sb 2.15
F 0.5143 0.9633 0.9153  1 Sb 2.05
F 0.7132 0.0628 0.6166  1 Sb 1.99
F 0.9596 0.7106 0.5180  1 Sb 2.13
F 0.0319 0.7482 0.1337  1 Sb 2.11
F 0.0449 0.9269 0.5885  1 Sb 2.09
F 0.0324 0.0121 0.3091  1 Sb 2.13
F 0.2579 0.5798 0.4719  1 Sb 1.98
F 0.4725 0.0159 0.3206  1 Sb 2.08
F 0.3084 0.2140 0.5614  1 Sb 1.99
F 0.0628 0.8306 0.3400  1 Sb 2.16
F 0.8777 0.8874 0.9249  1 Sb 2.03
F 0.9687 0.7916 0.7362  1 Sb 2.10
F 0.7223 0.6902 0.7096  1 Sb 1.99
F 0.4575 0.6561 0.3975  1 Sb 2.12
F 0.9499 0.5265 0.0645  1 Sb 2.12
F 0.9787 0.2570 0.8751  1 Sb 2.15
F 0.9554 0.8939 0.4811  1 Sb 2.15
F 0.4447 0.3804 0.7090  1 Sb 2.12
Sb 0.7633 0.7119 0.7737  5 F 1.99-2.15
Sb 0.7415 0.3428 0.8668  5 F 2.00-2.15
Sb 0.2415 0.6572 0.1332  5 F 2.00-2.15
Sb 0.7397 0.6190 0.0485  5 F 2.00-2.15
Sb 0.2633 0.2881 0.2263  5 F 1.99-2.15
Sb 0.7422 0.1661 0.4126  5 F 1.98-2.16
Sb 0.2422 0.8339 0.5874  5 F 1.98-2.16
Sb 0.7416 0.8018 0.5028  5 F 1.99-2.15
Sb 0.7674 0.8874 0.2374  5 F 1.99-2.18
Sb 0.7554 0.4395 0.5930  5 F 1.98-2.12
Sb 0.2554 0.5605 0.4070  5 F 1.98-2.12
Sb 0.2660 0.9272 0.3174  5 F 1.99-2.16
Sb 0.7590 0.9691 0.9577  4 F 2.03-2.19
Sb 0.7521 0.5269 0.3216  5 F 1.98-2.12
Sb 0.7660 0.0728 0.6826  5 F 1.99-2.16
Sb 0.2674 0.1126 0.7626  5 F 1.99-2.18
Sb 0.2397 0.3810 0.9515  5 F 2.00-2.15
Sb 0.2521 0.4731 0.6784  5 F 1.98-2.12
Sb 0.2416 0.1982 0.4972  5 F 1.99-2.15
Sb 0.2700 0.7357 0.8544  5 F 1.99-2.13
Sb 0.7700 0.2643 0.1456  5 F 1.99-2.13
Sb 0.2590 0.0309 0.0423  4 F 2.03-2.19
K 0.7430 0.2253 0.5691  8 F 2.79-2.96
K 0.2430 0.7747 0.4309  8 F 2.79-2.96
K 0.2559 0.4999 0.2498  8 F 2.80-3.10
K 0.2611 0.3514 0.3740  5 F 2.60-2.68
K 0.7407 0.4100 0.0223  9 F 2.81-3.13
K 0.7463 0.2871 0.7094  4 F 2.58-2.69
K 0.2830 0.8456 0.1712  5 F 2.63-2.77
K 0.2704 0.9896 0.4648  5 F 2.61-2.73
K 0.2583 0.4514 0.1066  5 F 2.60-2.91
K 0.7648 0.3718 0.4449  5 F 2.59-2.72
K 0.2543 0.5334 0.8282  5 F 2.61-2.71
K 0.7369 0.6763 0.2068  9 F 2.82-2.99
K 0.2411 0.8998 0.7354  5 F 2.61-2.79
K 0.7684 0.3139 0.2969  9 F 2.79-3.04
K 0.7528 0.7382 0.3556  5 F 2.59-2.73
K 0.7543 0.4666 0.1718  5 F 2.61-2.71
K 0.2648 0.6282 0.5551  5 F 2.59-2.72
K 0.2706 0.0473 0.6118  9 F 2.77-3.02
K 0.2407 0.5900 0.9777  9 F 2.81-3.13
K 0.7384 0.8628 0.6591  9 F 2.78-3.10
K 0.2528 0.2618 0.6444  5 F 2.59-2.73
K 0.2369 0.3237 0.7932  9 F 2.82-2.99
K 0.7704 0.0104 0.5352  5 F 2.61-2.73
K 0.7830 0.1544 0.8288  5 F 2.63-2.77
K 0.7583 0.5486 0.8934  5 F 2.60-2.91
K 0.2087 0.9512 0.8664  4 F 2.50-2.77
K 0.2470 0.0733 0.1776  4 F 2.54-2.70
K 0.2548 0.4121 0.5227  8 F 2.79-3.10
K 0.7087 0.0488 0.1336  4 F 2.50-2.77
K 0.7473 0.1862 0.0068  5 F 2.56-2.75
K 0.2673 0.1572 0.9169  5 F 2.61-2.83
K 0.2463 0.7129 0.2906  4 F 2.58-2.69
K 0.7706 0.9527 0.3882  9 F 2.77-3.02
K 0.7548 0.5879 0.4773  8 F 2.79-3.10
K 0.2684 0.6861 0.7031  9 F 2.79-3.04
K 0.2545 0.2550 0.0671  5 F 2.59-2.88
K 0.2473 0.8138 0.9932  5 F 2.56-2.75
K 0.2384 0.1372 0.3409  9 F 2.78-3.10
K 0.7411 0.1002 0.2646  5 F 2.61-2.79
K 0.7673 0.8428 0.0831  5 F 2.61-2.83
K 0.7545 0.7450 0.9329  5 F 2.59-2.88
K 0.7611 0.6486 0.6260  5 F 2.60-2.68
K 0.7470 0.9267 0.8224  4 F 2.54-2.70
K 0.7559 0.5001 0.7502  8 F 2.80-3.10

***

Record 3
Density functional theory data (PBE) for LiCuP2O6 after structural relaxation.

Properties
- E (MP2020): -6.923 eV per atom
- Distance to the lowest polymorph of the same formula: 41 kJ/mol of formula units
- SG: P2_1/c, No. 14

Cell: 5.2751 14.2095 14.4632 Å, 73.26 90.00 90.00°
With the nearest neighbours (Å) after each atom.
Atoms (fractional coordinates):
Cu 0.8133 0.3870 0.5530  3 O 2.03-2.14
Cu 0.3133 0.1130 0.4470  3 O 2.03-2.14
Cu 0.6738 0.0986 0.9463  3 O 2.06-2.16
Cu 0.8262 0.5986 0.9463  3 O 2.06-2.16
Cu 0.1738 0.4014 0.0537  3 O 2.06-2.16
Cu 0.3262 0.9014 0.0537  3 O 2.06-2.16
Cu 0.1867 0.6130 0.4470  3 O 2.03-2.14
Cu 0.6867 0.8870 0.5530  3 O 2.03-2.14
P 0.7633 0.4997 0.1489  4 O 1.51-1.62
P 0.7367 0.9997 0.1489  4 O 1.51-1.62
P 0.6586 0.2974 0.1367  4 O 1.49-1.63
P 0.1746 0.7866 0.6588  4 O 1.49-1.62
P 0.3254 0.2866 0.6588  4 O 1.49-1.62
P 0.2829 0.9936 0.6416  4 O 1.50-1.62
P 0.3414 0.7026 0.8633  4 O 1.49-1.63
P 0.8254 0.2134 0.3412  4 O 1.49-1.62
P 0.1586 0.2026 0.8633  4 O 1.49-1.63
P 0.2633 0.0003 0.8511  4 O 1.51-1.62
P 0.8414 0.7974 0.1367  4 O 1.49-1.63
P 0.2367 0.5003 0.8511  4 O 1.51-1.62
P 0.2171 0.4936 0.6416  4 O 1.50-1.62
P 0.6746 0.7134 0.3412  4 O 1.49-1.62
P 0.7171 0.0064 0.3584  4 O 1.50-1.62
P 0.7829 0.5064 0.3584  4 O 1.50-1.62
O 0.3316 0.1812 0.9501  1 P 1.51
O 0.0649 0.2708 0.6242  1 P 1.50
O 0.8316 0.3188 0.0499  1 P 1.51
O 0.1108 0.1031 0.8318  2 P 1.62-1.63
O 0.6966 0.5217 0.2481  2 P 1.59-1.61
O 0.8892 0.8969 0.1682  2 P 1.62-1.63
O 0.5501 0.2379 0.6302  1 P 1.49
O 0.3765 0.4212 0.9276  1 P 1.52
O 0.3034 0.4783 0.7519  2 P 1.59-1.61
O 0.4562 0.9871 0.1371  1 P 1.51
O 0.1201 0.9038 0.6235  2 P 1.62
O 0.8799 0.0962 0.3765  2 P 1.62
O 0.9034 0.2469 0.8678  1 P 1.49
O 0.1235 0.9212 0.9276  1 P 1.52
O 0.3440 0.5862 0.5799  1 P 1.52
O 0.6684 0.8188 0.0499  1 P 1.51
O 0.4351 0.7708 0.6242  1 P 1.50
O 0.6560 0.4138 0.4201  1 P 1.52
O 0.8440 0.9138 0.4201  1 P 1.52
O 0.9368 0.4792 0.6350  1 P 1.50
O 0.1560 0.0862 0.5799  1 P 1.52
O 0.0632 0.5208 0.3650  1 P 1.50
O 0.6201 0.5962 0.3765  2 P 1.62
O 0.1966 0.9783 0.7519  2 P 1.59-1.61
O 0.0501 0.2621 0.3698  1 P 1.49
O 0.8258 0.2324 0.2252  2 P 1.61-1.62
O 0.5649 0.2292 0.3758  1 P 1.50
O 0.3799 0.4038 0.6235  2 P 1.62
O 0.0438 0.4871 0.1371  1 P 1.51
O 0.1684 0.6812 0.9501  1 P 1.51
O 0.8765 0.0788 0.0724  1 P 1.52
O 0.4368 0.0208 0.3650  1 P 1.50
O 0.4034 0.2531 0.1322  1 P 1.49
O 0.3892 0.6031 0.8318  2 P 1.62-1.63
O 0.6235 0.5788 0.0724  1 P 1.52
O 0.6108 0.3969 0.1682  2 P 1.62-1.63
O 0.3258 0.2676 0.7748  2 P 1.61-1.62
O 0.0966 0.7531 0.1322  1 P 1.49
O 0.5966 0.7469 0.8678  1 P 1.49
O 0.5632 0.9792 0.6350  1 P 1.50
O 0.9499 0.7379 0.6302  1 P 1.49
O 0.5438 0.0129 0.8629  1 P 1.51
O 0.9562 0.5129 0.8629  1 P 1.51
O 0.8034 0.0217 0.2481  2 P 1.59-1.61
O 0.6742 0.7324 0.2252  2 P 1.61-1.62
O 0.9351 0.7292 0.3758  1 P 1.50
O 0.4499 0.7621 0.3698  1 P 1.49
O 0.1742 0.7676 0.7748  2 P 1.61-1.62
Li 0.8570 0.1619 0.6205  3 O 1.91-2.09
Li 0.7186 0.3461 0.9162  3 O 1.95-2.13
Li 0.2186 0.1539 0.0838  3 O 1.95-2.13
Li 0.3570 0.3381 0.3795  3 O 1.91-2.09
Li 0.6430 0.6619 0.6205  3 O 1.91-2.09
Li 0.1430 0.8381 0.3795  3 O 1.91-2.09
Li 0.2814 0.6539 0.0838  3 O 1.95-2.13
Li 0.7814 0.8461 0.9162  3 O 1.95-2.13